1.
Density functional theory data (GGA+U) for a geometry-optimized W2Cl4O7 structure.

Properties
The space group is Ccce, No. 68.

Lattice parameters (Å, degrees): 13.252 13.252 12.163 90.00 90.00 129.39
Positions (direct):
1 W 0.565 0.406 0.658
2 W 0.094 0.935 0.158
3 W 0.906 0.065 0.158
4 W 0.435 0.594 0.658
5 W 0.935 0.094 0.842
6 W 0.406 0.565 0.342
7 W 0.594 0.435 0.342
8 W 0.065 0.906 0.842
9 Cl 0.722 0.369 0.653
10 Cl 0.131 0.778 0.153
11 Cl 0.869 0.222 0.153
12 Cl 0.278 0.631 0.653
13 Cl 0.778 0.131 0.847
14 Cl 0.369 0.722 0.347
15 Cl 0.631 0.278 0.347
16 Cl 0.222 0.869 0.847
17 Cl 0.617 0.455 0.847
18 Cl 0.045 0.883 0.347
19 Cl 0.955 0.117 0.347
20 Cl 0.383 0.545 0.847
21 Cl 0.883 0.045 0.653
22 Cl 0.455 0.617 0.153
23 Cl 0.545 0.383 0.153
24 Cl 0.117 0.955 0.653
25 O 0.428 0.243 0.670
26 O 0.257 0.072 0.170
27 O 0.743 0.928 0.170
28 O 0.572 0.757 0.670
29 O 0.072 0.257 0.830
30 O 0.243 0.428 0.330
31 O 0.757 0.572 0.330
32 O 0.928 0.743 0.830
33 O 0.768 0.576 0.661
34 O 0.924 0.732 0.161
35 O 0.076 0.268 0.161
36 O 0.232 0.424 0.661
37 O 0.732 0.924 0.839
38 O 0.576 0.768 0.339
39 O 0.424 0.232 0.339
40 O 0.268 0.076 0.839
41 O 0.500 0.500 0.660
42 O 0.000 0.000 0.160
43 O 0.000 0.000 0.840
44 O 0.500 0.500 0.340
45 O 0.578 0.422 0.500
46 O 0.078 0.922 0.000
47 O 0.922 0.078 0.000
48 O 0.422 0.578 0.500
49 O 0.215 0.215 0.500
50 O 0.285 0.285 0.000
51 O 0.715 0.715 0.000
52 O 0.785 0.785 0.500

---

2.
Density functional theory data (GGA+U) for a geometry-optimized ZrW2ClO10 structure.

Properties
The space group is Iba2, No. 45.

Lattice parameters (Å, degrees): 10.427 10.427 10.427 111.34 110.69 106.43
Positions (direct):
1 Zr 0.242 0.742 0.500
2 Zr 0.742 0.242 0.500
3 Zr 0.495 0.495 0.000
4 Zr 0.995 0.995 0.000
5 W 0.175 0.521 0.682
6 W 0.675 0.992 0.653
7 W 0.297 0.434 0.201
8 W 0.733 0.934 0.137
9 W 0.839 0.492 0.318
10 W 0.339 0.021 0.347
11 W 0.233 0.096 0.799
12 W 0.797 0.596 0.863
13 Cl 0.043 0.410 0.941
14 Cl 0.969 0.910 0.367
15 Cl 0.469 0.102 0.059
16 Cl 0.543 0.602 0.633
17 O 0.063 0.563 0.500
18 O 0.563 0.063 0.500
19 O 0.317 0.317 0.000
20 O 0.817 0.817 0.000
21 O 0.210 0.392 0.494
22 O 0.710 0.216 0.818
23 O 0.465 0.453 0.349
24 O 0.604 0.953 0.987
25 O 0.898 0.716 0.506
26 O 0.398 0.892 0.182
27 O 0.104 0.117 0.651
28 O 0.965 0.617 0.013
29 O 0.483 0.883 0.625
30 O 0.983 0.359 0.600
31 O 0.618 0.739 0.102
32 O 0.137 0.239 0.121
33 O 0.258 0.859 0.375
34 O 0.758 0.383 0.400
35 O 0.637 0.516 0.898
36 O 0.118 0.016 0.879
37 O 0.238 0.920 0.676
38 O 0.738 0.061 0.318
39 O 0.310 0.476 0.809
40 O 0.167 0.976 0.166
41 O 0.243 0.561 0.324
42 O 0.743 0.420 0.682
43 O 0.667 0.501 0.191
44 O 0.810 0.001 0.834
45 O 0.345 0.654 0.659
46 O 0.845 0.186 0.691
47 O 0.384 0.577 0.139
48 O 0.938 0.077 0.193
49 O 0.995 0.686 0.341
50 O 0.495 0.154 0.309
51 O 0.438 0.245 0.861
52 O 0.884 0.745 0.807
53 O 0.185 0.686 0.830
54 O 0.685 0.855 0.498
55 O 0.856 0.355 0.170
56 O 0.356 0.186 0.501

---

3.
Density functional theory data (GGA+U) for a geometry-optimized Li4Cr2Fe3Co3O16 structure.

Properties
The space group is Cm, No. 8.

Lattice parameters (Å, degrees): 5.760 5.760 9.381 89.61 89.61 60.04
Positions (direct):
1 Li 0.333 0.333 0.895
2 Li 0.997 0.997 0.998
3 Li 0.994 0.994 0.495
4 Li 0.667 0.667 0.392
5 Cr 0.337 0.337 0.488
6 Cr 0.668 0.668 0.989
7 Fe 0.170 0.170 0.215
8 Fe 0.338 0.829 0.714
9 Fe 0.829 0.338 0.714
10 Co 0.171 0.660 0.213
11 Co 0.660 0.171 0.213
12 Co 0.830 0.830 0.715
13 O 0.162 0.677 0.603
14 O 0.481 0.481 0.332
15 O 0.340 0.340 0.106
16 O 0.993 0.993 0.308
17 O 0.997 0.997 0.810
18 O 0.677 0.162 0.603
19 O 0.038 0.489 0.340
20 O 0.489 0.038 0.340
21 O 0.836 0.836 0.106
22 O 0.160 0.160 0.600
23 O 0.519 0.963 0.837
24 O 0.963 0.519 0.837
25 O 0.667 0.667 0.610
26 O 0.326 0.830 0.098
27 O 0.519 0.519 0.839
28 O 0.830 0.326 0.098

---

Results for energy of formation: -862, -2267, -4628 (in kJ/mol of formula units, following the order of the records).
Results for total DFT energy (no corrections): -252.8, -374.2, -174.1 (in eV/cell, following the order of the records).
Results for total magnetization: 24.0, 19.8, 17.0 (in μB per cell, following the order of the records).